# SmErTl2

A geometry-optimized SmErTl2 structure (GGA-PBE, Materials Project).

Summary:
The formation energy comes out at -0.34 eV/atom. The calculation puts the total energy at -3.846 eV per atom.

CIF file:
```
data_SmErTl2
_chemical_formula_sum 'Sm4 Er4 Tl8'
_cell_length_a 7.6326
_cell_length_b 7.6326
_cell_length_c 7.6326
_cell_angle_alpha 90.00
_cell_angle_beta 90.00
_cell_angle_gamma 90.00
_symmetry_space_group_name_H-M 'F m -3 m'
_symmetry_Int_Tables_number 225
_symmetry_space_group_name_Hall '-F 4 2 3'
loop_
_atom_site_label
_atom_site_type_symbol
_atom_site_fract_x
_atom_site_fract_y
_atom_site_fract_z
Sm1 Sm 0.0000 0.0000 0.0000
Er1 Er 0.0000 0.0000 0.5000
Tl1 Tl 0.2500 0.2500 0.2500
```